#one
CdIn2O4: relaxed, PBE.

Cell: 6.4841 6.6686 9.3205 Å, 90.00 90.00 90.00°
Closest atoms and distances in Å follow each position.
Space group Imma (No. 74)
Symmetry-distinct sites (fractional):
Cd 0.2500 0.2500 0.2500 (multiplicity 4)  6 O 2.31-2.35
In 0.0000 0.0000 0.0000 (multiplicity 4)  6 O 2.19-2.24
In 0.0000 0.2500 0.6336 (multiplicity 4)  4 O 2.10-2.13
O 0.0000 0.0048 0.2347 (multiplicity 8)  2 In 2.10-2.19, 2 Cd 2.31
O 0.2309 0.2500 0.9980 (multiplicity 8)  3 In 2.13-2.24, 1 Cd 2.35

=====

#two
CdIn2O4: relaxed, PBE.

Cell: 9.3307 9.3307 9.3307 Å, 90.00 90.00 90.00°
Closest atoms and distances in Å follow each position.
Space group Fd-3m (No. 227, origin choice 2)
Symmetry-distinct sites (fractional):
Cd 0.1250 0.1250 0.1250 (multiplicity 8)  4 O 2.23
In 0.0000 0.0000 0.5000 (multiplicity 16)  6 O 2.22
O 0.0132 0.0132 0.7368 (multiplicity 32)  3 In 2.22, 1 Cd 2.23

=====

Energy above the most stable structure, in eV/atom: #one 0.078; #two 0.000